Entry 1:
The following is a DFT calculation (r²SCAN) of a relaxed structure of MnP2O7.

Energy relative to the lowest polymorph listed for this composition = 2.3 meV/atom
Total magnetization = 3.00 μB per formula unit
Calculated total energy = -9.70 eV per atom

Lattice parameters (Å, degrees): 4.790 12.319 8.992 90.00 120.80 90.00
Fractional positions:
Mn  0.124  0.149  0.342
Mn  0.124  0.351  0.842
Mn  0.876  0.649  0.158
Mn  0.876  0.851  0.658
P  0.276  0.695  0.561
P  0.276  0.805  0.061
P  0.388  0.019  0.697
P  0.388  0.481  0.197
P  0.612  0.519  0.803
P  0.612  0.981  0.303
P  0.724  0.195  0.939
P  0.724  0.305  0.439
O  0.021  0.188  0.119
O  0.021  0.312  0.619
O  0.170  0.533  0.255
O  0.170  0.967  0.755
O  0.205  0.739  0.180
O  0.205  0.761  0.680
O  0.212  0.108  0.564
O  0.212  0.392  0.064
O  0.333  0.574  0.633
O  0.333  0.926  0.133
O  0.416  0.231  0.934
O  0.416  0.269  0.434
O  0.463  0.063  0.366
O  0.463  0.437  0.866
O  0.537  0.563  0.134
O  0.537  0.937  0.634
O  0.584  0.731  0.566
O  0.584  0.769  0.066
O  0.667  0.074  0.867
O  0.667  0.426  0.367
O  0.788  0.608  0.936
O  0.788  0.892  0.436
O  0.795  0.239  0.320
O  0.795  0.261  0.820
O  0.830  0.033  0.245
O  0.830  0.467  0.745
O  0.979  0.688  0.381
O  0.979  0.812  0.881

---

Entry 2:
The following is a DFT calculation (r²SCAN) of a relaxed structure of TbZnNi.

Total magnetization = 0.00 μB per formula unit
Calculated total energy = -17.82 eV per atom

Lattice parameters (Å, degrees): 6.975 6.975 3.751 90.00 90.00 120.00
Fractional positions:
Tb  0.000  0.590  0.000
Tb  0.410  0.410  0.000
Tb  0.590  0.000  0.000
Zn  0.000  0.239  0.500
Zn  0.239  0.000  0.500
Zn  0.761  0.761  0.500
Ni  0.000  0.000  0.000
Ni  0.333  0.667  0.500
Ni  0.667  0.333  0.500

---

Entry 3:
The following is a DFT calculation (r²SCAN) of a relaxed structure of Ba2TbCl7.

Total magnetization = 0.00 μB per formula unit
Calculated total energy = -15.45 eV per atom

Lattice parameters (Å, degrees): 6.870 15.649 10.602 90.00 90.62 90.00
Fractional positions:
Ba  0.235  0.061  0.324
Ba  0.235  0.439  0.824
Ba  0.235  0.720  0.451
Ba  0.235  0.780  0.951
Ba  0.765  0.220  0.049
Ba  0.765  0.280  0.549
Ba  0.765  0.561  0.176
Ba  0.765  0.939  0.676
Tb  0.282  0.127  0.782
Tb  0.282  0.373  0.282
Tb  0.718  0.627  0.718
Tb  0.718  0.873  0.218
Cl  0.011  0.242  0.302
Cl  0.011  0.258  0.802
Cl  0.012  0.105  0.585
Cl  0.012  0.395  0.085
Cl  0.204  0.541  0.288
Cl  0.204  0.959  0.788
Cl  0.208  0.140  0.029
Cl  0.208  0.360  0.529
Cl  0.370  0.571  0.624
Cl  0.370  0.929  0.124
Cl  0.499  0.604  0.930
Cl  0.499  0.896  0.430
Cl  0.500  0.227  0.295
Cl  0.500  0.273  0.795
Cl  0.500  0.727  0.205
Cl  0.500  0.773  0.705
Cl  0.501  0.104  0.570
Cl  0.501  0.396  0.070
Cl  0.630  0.071  0.876
Cl  0.630  0.429  0.376
Cl  0.792  0.640  0.471
Cl  0.792  0.860  0.971
Cl  0.796  0.041  0.212
Cl  0.796  0.459  0.712
Cl  0.988  0.605  0.915
Cl  0.988  0.895  0.415
Cl  0.989  0.742  0.198
Cl  0.989  0.758  0.698

---

Entry 4:
The following is a DFT calculation (r²SCAN) of a relaxed structure of Cs2TaCl6.

Total magnetization = 1.00 μB per formula unit
Calculated total energy = -16.95 eV per atom

Lattice parameters (Å, degrees): 7.346 7.346 7.346 60.00 60.00 60.00
Fractional positions:
Cs  0.250  0.250  0.250
Cs  0.750  0.750  0.750
Ta  0.000  0.000  0.000
Cl  0.233  0.233  0.767
Cl  0.233  0.767  0.233
Cl  0.233  0.767  0.767
Cl  0.767  0.233  0.233
Cl  0.767  0.233  0.767
Cl  0.767  0.767  0.233

---

Entry 5:
The following is a DFT calculation (r²SCAN) of a relaxed structure of CaSi.

Total magnetization = 0.00 μB per formula unit
Calculated total energy = -8.51 eV per atom

Lattice parameters (Å, degrees): 4.555 10.691 3.905 90.00 90.00 90.00
Fractional positions:
Ca  0.000  0.139  0.250
Ca  0.000  0.861  0.750
Ca  0.500  0.361  0.750
Ca  0.500  0.639  0.250
Si  0.000  0.432  0.250
Si  0.000  0.568  0.750
Si  0.500  0.068  0.750
Si  0.500  0.932  0.250

---

Entry 6:
The following is a DFT calculation (r²SCAN) of a relaxed structure of ReSe2.

Total magnetization = 0.00 μB per formula unit
Calculated total energy = -27.47 eV per atom

Lattice parameters (Å, degrees): 6.644 6.766 7.067 91.86 104.38 118.89
Fractional positions:
Re  0.013  0.209  0.003
Re  0.436  0.185  0.008
Re  0.564  0.815  0.992
Re  0.987  0.791  0.997
Se  0.226  0.843  0.753
Se  0.247  0.116  0.279
Se  0.252  0.635  0.185
Se  0.277  0.391  0.788
Se  0.723  0.609  0.212
Se  0.748  0.365  0.815
Se  0.753  0.884  0.721
Se  0.774  0.157  0.247

---

Entry 7:
The following is a DFT calculation (r²SCAN) of a relaxed structure of Ba4Hf3O10.

Total magnetization = 0.00 μB per formula unit
Calculated total energy = -21.30 eV per atom

Lattice parameters (Å, degrees): 15.391 15.391 5.894 90.00 90.00 22.08
Fractional positions:
Ba  0.069  0.069  0.000
Ba  0.203  0.203  0.000
Ba  0.297  0.297  0.500
Ba  0.431  0.431  0.500
Ba  0.569  0.569  0.500
Ba  0.703  0.703  0.500
Ba  0.797  0.797  0.000
Ba  0.931  0.931  0.000
Hf  0.000  0.000  0.500
Hf  0.139  0.139  0.500
Hf  0.361  0.361  0.000
Hf  0.500  0.500  0.000
Hf  0.639  0.639  0.000
Hf  0.861  0.861  0.500
O  0.069  0.069  0.500
O  0.111  0.612  0.250
O  0.112  0.611  0.750
O  0.207  0.207  0.500
O  0.248  0.752  0.752
O  0.252  0.748  0.252
O  0.293  0.293  0.000
O  0.388  0.889  0.250
O  0.389  0.888  0.750
O  0.431  0.431  0.000
O  0.569  0.569  0.000
O  0.611  0.112  0.250
O  0.612  0.111  0.750
O  0.707  0.707  0.000
O  0.748  0.252  0.748
O  0.752  0.248  0.248
O  0.793  0.793  0.500
O  0.888  0.389  0.250
O  0.889  0.388  0.750
O  0.931  0.931  0.500

---

Entry 8:
The following is a DFT calculation (r²SCAN) of a relaxed structure of Bi4I2O5.

Total magnetization = 0.00 μB per formula unit
Calculated total energy = -29.67 eV per atom

Lattice parameters (Å, degrees): 11.374 5.733 15.042 90.00 100.16 90.00
Fractional positions:
Bi  0.070  0.000  0.213
Bi  0.089  0.971  0.957
Bi  0.125  0.085  0.703
Bi  0.230  0.532  0.115
Bi  0.233  0.571  0.364
Bi  0.273  0.584  0.855
Bi  0.407  0.079  0.295
Bi  0.426  0.081  0.540
Bi  0.574  0.581  0.460
Bi  0.593  0.579  0.705
Bi  0.727  0.084  0.145
Bi  0.767  0.071  0.636
Bi  0.770  0.032  0.885
Bi  0.875  0.585  0.297
Bi  0.911  0.471  0.043
Bi  0.930  0.500  0.787
I  0.104  0.109  0.441
I  0.275  0.587  0.616
I  0.379  0.097  0.046
I  0.445  0.085  0.779
I  0.555  0.585  0.221
I  0.621  0.597  0.954
I  0.725  0.087  0.384
I  0.896  0.609  0.559
O  0.054  0.633  0.281
O  0.079  0.792  0.093
O  0.080  0.289  0.089
O  0.138  0.342  0.806
O  0.140  0.841  0.810
O  0.183  0.618  0.966
O  0.253  0.317  0.260
O  0.256  0.831  0.256
O  0.422  0.841  0.419
O  0.424  0.322  0.420
O  0.576  0.822  0.580
O  0.578  0.341  0.581
O  0.744  0.331  0.744
O  0.747  0.817  0.740
O  0.817  0.118  0.034
O  0.860  0.341  0.190
O  0.862  0.842  0.194
O  0.920  0.789  0.911
O  0.921  0.292  0.907
O  0.946  0.133  0.719

---

Entry 9:
The following is a DFT calculation (r²SCAN) of a relaxed structure of TbSi2Pt2.

Total magnetization = 0.00 μB per formula unit
Calculated total energy = -31.46 eV per atom

Lattice parameters (Å, degrees): 4.163 4.163 9.870 90.00 90.00 90.00
Fractional positions:
Tb  0.000  0.000  0.000
Tb  0.500  0.500  0.500
Si  0.000  0.000  0.382
Si  0.000  0.000  0.618
Si  0.500  0.500  0.118
Si  0.500  0.500  0.882
Pt  0.000  0.500  0.250
Pt  0.000  0.500  0.750
Pt  0.500  0.000  0.250
Pt  0.500  0.000  0.750

---

Entry 10:
The following is a DFT calculation (r²SCAN) of a relaxed structure of ThNi2.

Total magnetization = 0.00 μB per formula unit
Calculated total energy = -32.85 eV per atom

Lattice parameters (Å, degrees): 4.085 4.085 3.753 90.00 90.00 120.00
Fractional positions:
Th  0.000  0.000  0.000
Ni  0.333  0.667  0.500
Ni  0.667  0.333  0.500

---

Entry 11:
The following is a DFT calculation (r²SCAN) of a relaxed structure of TaTe2Cl6.

Total magnetization = 0.00 μB per formula unit
Calculated total energy = -16.24 eV per atom

Lattice parameters (Å, degrees): 6.824 7.430 11.274 80.38 77.83 86.43
Fractional positions:
Ta  0.210  0.171  0.195
Ta  0.790  0.829  0.805
Te  0.266  0.653  0.491
Te  0.386  0.405  0.666
Te  0.614  0.595  0.334
Te  0.734  0.347  0.509
Cl  0.062  0.465  0.234
Cl  0.107  0.958  0.720
Cl  0.135  0.218  0.001
Cl  0.277  0.131  0.398
Cl  0.352  0.878  0.174
Cl  0.482  0.692  0.880
Cl  0.518  0.308  0.120
Cl  0.648  0.122  0.826
Cl  0.723  0.869  0.602
Cl  0.865  0.782  0.999
Cl  0.893  0.042  0.280
Cl  0.938  0.535  0.766

---

Entry 12:
The following is a DFT calculation (r²SCAN) of a relaxed structure of DyNiSn.

Total magnetization = 0.00 μB per formula unit
Calculated total energy = -23.61 eV per atom

Lattice parameters (Å, degrees): 7.100 4.446 7.631 90.00 90.00 90.00
Fractional positions:
Dy  0.013  0.250  0.202
Dy  0.487  0.750  0.702
Dy  0.513  0.250  0.298
Dy  0.987  0.750  0.798
Ni  0.201  0.750  0.415
Ni  0.299  0.250  0.915
Ni  0.701  0.750  0.085
Ni  0.799  0.250  0.585
Sn  0.189  0.250  0.587
Sn  0.311  0.750  0.087
Sn  0.689  0.250  0.913
Sn  0.811  0.750  0.413

---

Entry 13:
The following is a DFT calculation (r²SCAN) of a relaxed structure of AlCu3.

Total magnetization = 0.00 μB per formula unit
Calculated total energy = -10.02 eV per atom

Lattice parameters (Å, degrees): 5.138 5.138 4.206 90.00 90.00 120.00
Fractional positions:
Al  0.333  0.667  0.250
Al  0.667  0.333  0.750
Cu  0.166  0.331  0.750
Cu  0.166  0.834  0.750
Cu  0.331  0.166  0.250
Cu  0.669  0.834  0.750
Cu  0.834  0.166  0.250
Cu  0.834  0.669  0.250

---

Entry 14:
The following is a DFT calculation (r²SCAN) of a relaxed structure of BF3.

Total magnetization = 0.00 μB per formula unit
Calculated total energy = -7.11 eV per atom

Lattice parameters (Å, degrees): 4.576 13.481 7.128 90.00 108.43 90.00
Fractional positions:
B  0.020  0.116  0.277
B  0.020  0.384  0.777
B  0.361  0.635  0.734
B  0.361  0.865  0.234
B  0.639  0.135  0.766
B  0.639  0.365  0.266
B  0.980  0.616  0.223
B  0.980  0.884  0.723
F  0.037  0.128  0.096
F  0.037  0.372  0.596
F  0.221  0.573  0.195
F  0.221  0.927  0.695
F  0.245  0.721  0.771
F  0.245  0.779  0.271
F  0.249  0.148  0.430
F  0.249  0.352  0.930
F  0.258  0.552  0.786
F  0.258  0.948  0.286
F  0.421  0.135  0.850
F  0.421  0.365  0.350
F  0.579  0.635  0.650
F  0.579  0.865  0.150
F  0.742  0.052  0.714
F  0.742  0.448  0.214
F  0.751  0.648  0.070
F  0.751  0.852  0.570
F  0.755  0.221  0.729
F  0.755  0.279  0.229
F  0.779  0.073  0.305
F  0.779  0.427  0.805
F  0.963  0.628  0.404
F  0.963  0.872  0.904

---

Entry 15:
The following is a DFT calculation (r²SCAN) of a relaxed structure of Th6Cd7.

Total magnetization = 0.00 μB per formula unit
Calculated total energy = -44.91 eV per atom

Lattice parameters (Å, degrees): 9.886 11.633 6.026 90.00 90.00 90.00
Fractional positions:
Th  0.053  0.127  0.000
Th  0.156  0.957  0.500
Th  0.169  0.413  0.000
Th  0.331  0.913  0.000
Th  0.344  0.457  0.500
Th  0.447  0.627  0.000
Th  0.553  0.373  0.000
Th  0.656  0.543  0.500
Th  0.669  0.087  0.000
Th  0.831  0.587  0.000
Th  0.844  0.043  0.500
Th  0.947  0.873  0.000
Cd  0.000  0.500  0.500
Cd  0.100  0.253  0.500
Cd  0.151  0.680  0.245
Cd  0.151  0.680  0.755
Cd  0.349  0.180  0.245
Cd  0.349  0.180  0.755
Cd  0.400  0.753  0.500
Cd  0.500  0.000  0.500
Cd  0.600  0.247  0.500
Cd  0.651  0.820  0.245
Cd  0.651  0.820  0.755
Cd  0.849  0.320  0.245
Cd  0.849  0.320  0.755
Cd  0.900  0.747  0.500

---

Entry 16:
The following is a DFT calculation (r²SCAN) of a relaxed structure of PaPd3.

Total magnetization = 0.00 μB per formula unit
Calculated total energy = -37.22 eV per atom

Lattice parameters (Å, degrees): 5.687 5.687 5.054 90.00 90.00 120.00
Fractional positions:
Pa  0.333  0.667  0.250
Pa  0.667  0.333  0.750
Pd  0.165  0.329  0.750
Pd  0.165  0.835  0.750
Pd  0.329  0.165  0.250
Pd  0.671  0.835  0.750
Pd  0.835  0.165  0.250
Pd  0.835  0.671  0.250

---

In order of appearance, energy of formation = -2253 -443 -2724 -1866 -601 -463 -3584 -1221 -1113 -373 -1088 -709 -199 -2926 -170 -781 meV/atom.
In order of appearance, V = 11.40 17.56 28.49 31.15 23.77 22.09 15.44 21.94 17.11 18.08 30.59 20.08 12.02 13.04 26.66 17.69 A^3/atom.